[1]
The following is a DFT calculation (PBE-GGA) of a relaxed structure of Sr2VN2.

```
Sr2VN2
1.0
2.643 -5.789 0.000
2.643 5.789 0.000
0.000 0.000 12.905
Sr V N
8 4 8
direct
0.042 0.958 0.852
0.149 0.851 0.441
0.351 0.649 0.941
0.458 0.542 0.352
0.542 0.458 0.648
0.649 0.351 0.059
0.851 0.149 0.559
0.958 0.042 0.148
0.231 0.769 0.679
0.269 0.731 0.179
0.731 0.269 0.821
0.769 0.231 0.321
0.084 0.916 0.639
0.168 0.832 0.076
0.332 0.668 0.576
0.416 0.584 0.139
0.584 0.416 0.861
0.668 0.332 0.424
0.832 0.168 0.924
0.916 0.084 0.361
```

The value obtained for the total magnetic moment is 0.0 μB per formula unit. For the total energy, the calculation gives -6.58 eV/atom. The calculation puts the formation energy at -0.90 eV/atom.

[2]
The following is a DFT calculation (PBE-GGA) of a relaxed structure of Dy4Ge6Ir7.

```
Dy4Ge6Ir7
1.0
-4.203 4.203 4.203
4.203 -4.203 4.203
4.203 4.203 -4.203
Dy Ge Ir
4 6 7
direct
0.000 0.000 0.500
0.000 0.500 0.000
0.500 0.000 0.000
0.500 0.500 0.500
0.000 0.317 0.317
0.000 0.683 0.683
0.317 0.000 0.317
0.317 0.317 0.000
0.683 0.000 0.683
0.683 0.683 0.000
0.000 0.000 0.000
0.250 0.500 0.750
0.250 0.750 0.500
0.500 0.250 0.750
0.500 0.750 0.250
0.750 0.250 0.500
0.750 0.500 0.250
```

For the total energy, the calculation gives -7.23 eV/atom. The calculation puts the formation energy at -0.88 eV/atom.

[3]
The following is a DFT calculation (PBE-GGA) of a relaxed structure of CsCeHgSe3.

```
CsCeHgSe3
1.0
2.233 -8.110 0.000
2.233 8.110 0.000
0.000 0.000 11.445
Cs Ce Hg Se
2 2 2 6
direct
0.243 0.757 0.750
0.757 0.243 0.250
0.500 0.500 0.000
0.500 0.500 0.500
0.043 0.957 0.250
0.957 0.043 0.750
0.121 0.879 0.047
0.121 0.879 0.453
0.439 0.561 0.250
0.561 0.439 0.750
0.879 0.121 0.547
0.879 0.121 0.953
```

The value obtained for the total magnetic moment is 1.0 μB per formula unit. For the total energy, the calculation gives -4.15 eV/atom. The calculation puts the formation energy at -1.45 eV/atom.

[4]
The following is a DFT calculation (PBE-GGA) of a relaxed structure of TmScB2O6.

```
TmScB2O6
1.0
2.441 1.409 5.317
-2.441 1.409 5.317
0.000 -2.818 5.317
Tm Sc B O
1 1 2 6
direct
0.000 0.000 0.000
0.500 0.500 0.500
0.246 0.246 0.246
0.754 0.754 0.754
0.044 0.476 0.738
0.262 0.956 0.524
0.476 0.738 0.044
0.524 0.262 0.956
0.738 0.044 0.476
0.956 0.524 0.262
```

The value obtained for the total magnetic moment is 0.0 μB per formula unit. For the total energy, the calculation gives -8.47 eV/atom. The calculation puts the formation energy at -3.50 eV/atom.

[5]
The following is a DFT calculation (PBE-GGA) of a relaxed structure of PrGdAl4.

```
PrGdAl4
1.0
0.000 3.956 3.956
3.956 0.000 3.956
3.956 3.956 0.000
Pr Gd Al
1 1 4
direct
0.000 0.000 0.000
0.750 0.750 0.750
0.375 0.375 0.375
0.375 0.375 0.875
0.375 0.875 0.375
0.875 0.375 0.375
```

For the total energy, the calculation gives -6.14 eV/atom. The calculation puts the formation energy at -0.50 eV/atom.

[6]
The following is a DFT calculation (PBE-GGA) of a relaxed structure of LiMg14BiO16.

```
LiMg14BiO16
1.0
4.363 0.000 0.000
0.000 8.653 0.000
0.000 0.000 8.659
Li Mg Bi O
1 14 1 16
direct
0.000 0.000 0.000
0.000 0.254 0.237
0.000 0.254 0.763
0.000 0.500 0.000
0.000 0.500 0.500
0.000 0.746 0.237
0.000 0.746 0.763
0.500 0.000 0.228
0.500 0.000 0.772
0.500 0.246 0.000
0.500 0.264 0.500
0.500 0.500 0.246
0.500 0.500 0.754
0.500 0.736 0.500
0.500 0.754 0.000
0.000 0.000 0.500
0.000 0.000 0.234
0.000 0.000 0.766
0.000 0.262 0.000
0.000 0.268 0.500
0.000 0.500 0.250
0.000 0.500 0.750
0.000 0.732 0.500
0.000 0.738 0.000
0.500 0.000 0.000
0.500 0.000 0.500
0.500 0.249 0.253
0.500 0.249 0.747
0.500 0.500 0.000
0.500 0.500 0.500
0.500 0.751 0.253
0.500 0.751 0.747
```

For the total energy, the calculation gives -5.83 eV/atom. The calculation puts the formation energy at -2.82 eV/atom.